The following is a DFT calculation (GGA+U) of Mn4Si4O13 after structural relaxation.

Calculated values
V = 509.6 Å³/cell
calculated formation energy = -259 kJ per mole of atoms
final energy = -7.779 eV per atom
density = 3.5 Mg/m³

Lattice parameters (Å, degrees): 7.104 7.812 10.072 67.41 84.14 81.33
Positions (direct):
Mn (0.051, 0.074, 0.120)
Mn (0.061, 0.698, 0.503)
Mn (0.430, 0.940, 0.879)
Mn (0.437, 0.297, 0.508)
Mn (0.563, 0.703, 0.492)
Mn (0.570, 0.060, 0.121)
Mn (0.939, 0.302, 0.497)
Mn (0.949, 0.926, 0.880)
Si (0.059, 0.335, 0.789)
Si (0.273, 0.078, 0.327)
Si (0.281, 0.637, 0.786)
Si (0.389, 0.641, 0.210)
Si (0.611, 0.359, 0.790)
Si (0.719, 0.363, 0.214)
Si (0.727, 0.922, 0.673)
Si (0.941, 0.665, 0.211)
O (0.100, 0.947, 0.340)
O (0.115, 0.388, 0.617)
O (0.124, 0.115, 0.896)
O (0.135, 0.477, 0.848)
O (0.169, 0.638, 0.187)
O (0.227, 0.787, 0.863)
O (0.230, 0.210, 0.422)
O (0.268, 0.188, 0.150)
O (0.276, 0.728, 0.609)
O (0.413, 0.591, 0.381)
O (0.446, 0.845, 0.100)
O (0.493, 0.963, 0.340)
O (0.495, 0.531, 0.832)
O (0.505, 0.469, 0.168)
O (0.507, 0.037, 0.660)
O (0.554, 0.155, 0.900)
O (0.587, 0.409, 0.619)
O (0.724, 0.272, 0.391)
O (0.732, 0.812, 0.850)
O (0.770, 0.790, 0.578)
O (0.773, 0.213, 0.137)
O (0.831, 0.362, 0.813)
O (0.865, 0.523, 0.152)
O (0.876, 0.885, 0.104)
O (0.885, 0.612, 0.383)
O (0.900, 0.053, 0.660)

***

The following is a DFT calculation (GGA+U) of Mn4Si5O15 after structural relaxation.

Calculated values
V = 577.5 Å³/cell
calculated formation energy = -265 kJ per mole of atoms
final energy = -7.785 eV per atom
density = 3.5 Mg/m³

Lattice parameters (Å, degrees): 6.585 7.561 12.161 106.08 94.77 93.46
Positions (direct):
Mn (0.039, 0.108, 0.167)
Mn (0.122, 0.321, 0.448)
Mn (0.187, 0.496, 0.732)
Mn (0.238, 0.731, 0.030)
Mn (0.762, 0.269, 0.970)
Mn (0.813, 0.504, 0.268)
Mn (0.878, 0.679, 0.552)
Mn (0.961, 0.892, 0.833)
Si (0.166, 0.063, 0.649)
Si (0.233, 0.268, 0.910)
Si (0.293, 0.539, 0.254)
Si (0.375, 0.728, 0.517)
Si (0.492, 0.207, 0.121)
Si (0.508, 0.793, 0.879)
Si (0.625, 0.272, 0.483)
Si (0.707, 0.461, 0.746)
Si (0.767, 0.732, 0.090)
Si (0.834, 0.937, 0.351)
O (0.027, 0.079, 0.339)
O (0.039, 0.169, 0.954)
O (0.100, 0.398, 0.264)
O (0.112, 0.242, 0.606)
O (0.179, 0.595, 0.548)
O (0.203, 0.475, 0.907)
O (0.247, 0.644, 0.159)
O (0.263, 0.818, 0.889)
O (0.278, 0.145, 0.782)
O (0.321, 0.940, 0.568)
O (0.336, 0.048, 0.134)
O (0.368, 0.686, 0.378)
O (0.404, 0.307, 0.428)
O (0.441, 0.260, 0.996)
O (0.490, 0.407, 0.222)
O (0.510, 0.593, 0.778)
O (0.559, 0.740, 0.004)
O (0.596, 0.693, 0.572)
O (0.632, 0.314, 0.622)
O (0.664, 0.952, 0.866)
O (0.679, 0.060, 0.432)
O (0.722, 0.855, 0.218)
O (0.737, 0.182, 0.111)
O (0.753, 0.356, 0.841)
O (0.797, 0.525, 0.093)
O (0.821, 0.405, 0.452)
O (0.888, 0.758, 0.394)
O (0.900, 0.602, 0.736)
O (0.961, 0.831, 0.046)
O (0.973, 0.921, 0.661)

***

The following is a DFT calculation (GGA+U) of SrMn2Si2O10 after structural relaxation.

Calculated values
polymorph energy (0 for the lowest one) = 6.4 meV/atom
V = 365.4 Å³/cell
calculated formation energy = -223 kJ per mole of atoms
final energy = -6.982 eV per atom
density = 3.8 Mg/m³

Lattice parameters (Å, degrees): 5.395 5.395 13.546 90.00 90.00 112.08
Positions (direct):
Sr (0.163, 0.837, 0.750)
Sr (0.837, 0.163, 0.250)
Mn (0.000, 0.500, 0.000)
Mn (0.000, 0.500, 0.500)
Mn (0.500, 0.000, 0.000)
Mn (0.500, 0.000, 0.500)
Si (0.476, 0.524, 0.133)
Si (0.476, 0.524, 0.367)
Si (0.524, 0.476, 0.633)
Si (0.524, 0.476, 0.867)
O (0.125, 0.875, 0.250)
O (0.142, 0.858, 0.047)
O (0.142, 0.858, 0.453)
O (0.156, 0.392, 0.113)
O (0.156, 0.392, 0.387)
O (0.363, 0.637, 0.570)
O (0.363, 0.637, 0.930)
O (0.392, 0.156, 0.613)
O (0.392, 0.156, 0.887)
O (0.465, 0.535, 0.750)
O (0.535, 0.465, 0.250)
O (0.608, 0.844, 0.113)
O (0.608, 0.844, 0.387)
O (0.637, 0.363, 0.070)
O (0.637, 0.363, 0.430)
O (0.844, 0.608, 0.613)
O (0.844, 0.608, 0.887)
O (0.858, 0.142, 0.547)
O (0.858, 0.142, 0.953)
O (0.875, 0.125, 0.750)

***

The following is a DFT calculation (GGA+U) of SrMn2Si2O10 after structural relaxation.

Calculated values
polymorph energy (0 for the lowest one) = 0.0 meV/atom
V = 377.0 Å³/cell
calculated formation energy = -223 kJ per mole of atoms
final energy = -6.988 eV per atom
density = 3.6 Mg/m³

Lattice parameters (Å, degrees): 5.341 13.530 5.606 90.00 111.44 90.00
Positions (direct):
Sr (0.163, 0.250, 0.312)
Sr (0.837, 0.750, 0.688)
Mn (0.000, 0.000, 0.000)
Mn (0.000, 0.500, 0.000)
Mn (0.500, 0.000, 0.500)
Mn (0.500, 0.500, 0.500)
Si (0.488, 0.633, 0.043)
Si (0.488, 0.867, 0.043)
Si (0.512, 0.133, 0.957)
Si (0.512, 0.367, 0.957)
O (0.069, 0.750, 0.337)
O (0.136, 0.544, 0.348)
O (0.136, 0.956, 0.348)
O (0.164, 0.612, 0.905)
O (0.164, 0.888, 0.905)
O (0.341, 0.073, 0.103)
O (0.341, 0.427, 0.103)
O (0.402, 0.121, 0.647)
O (0.402, 0.379, 0.647)
O (0.475, 0.250, 0.036)
O (0.525, 0.750, 0.964)
O (0.598, 0.621, 0.353)
O (0.598, 0.879, 0.353)
O (0.659, 0.573, 0.897)
O (0.659, 0.927, 0.897)
O (0.836, 0.112, 0.095)
O (0.836, 0.388, 0.095)
O (0.864, 0.044, 0.652)
O (0.864, 0.456, 0.652)
O (0.931, 0.250, 0.663)

***

The following is a DFT calculation (GGA+U) of Y2Mn3Si3O12 after structural relaxation.

Calculated values
V = 964.7 Å³/cell
calculated formation energy = -291 kJ per mole of atoms
final energy = -8.158 eV per atom
density = 4.3 Mg/m³

Lattice parameters (Å, degrees): 10.781 10.781 10.781 109.47 109.47 109.47
Positions (direct):
Y (0.000, 0.000, 0.000)
Y (0.000, 0.000, 0.500)
Y (0.000, 0.500, 0.000)
Y (0.000, 0.500, 0.500)
Y (0.500, 0.000, 0.000)
Y (0.500, 0.000, 0.500)
Y (0.500, 0.500, 0.000)
Y (0.500, 0.500, 0.500)
Mn (0.125, 0.250, 0.375)
Mn (0.125, 0.375, 0.750)
Mn (0.250, 0.375, 0.125)
Mn (0.250, 0.875, 0.625)
Mn (0.375, 0.125, 0.250)
Mn (0.375, 0.750, 0.125)
Mn (0.625, 0.250, 0.875)
Mn (0.625, 0.875, 0.750)
Mn (0.750, 0.125, 0.375)
Mn (0.750, 0.625, 0.875)
Mn (0.875, 0.625, 0.250)
Mn (0.875, 0.750, 0.625)
Si (0.125, 0.750, 0.875)
Si (0.125, 0.875, 0.250)
Si (0.250, 0.125, 0.875)
Si (0.250, 0.625, 0.375)
Si (0.375, 0.250, 0.625)
Si (0.375, 0.625, 0.750)
Si (0.625, 0.375, 0.250)
Si (0.625, 0.750, 0.375)
Si (0.750, 0.375, 0.625)
Si (0.750, 0.875, 0.125)
Si (0.875, 0.125, 0.750)
Si (0.875, 0.250, 0.125)
O (0.019, 0.223, 0.127)
O (0.019, 0.296, 0.891)
O (0.096, 0.723, 0.704)
O (0.096, 0.873, 0.391)
O (0.109, 0.627, 0.404)
O (0.109, 0.981, 0.704)
O (0.127, 0.019, 0.223)
O (0.127, 0.609, 0.904)
O (0.204, 0.223, 0.596)
O (0.204, 0.481, 0.609)
O (0.223, 0.127, 0.019)
O (0.223, 0.596, 0.204)
O (0.277, 0.296, 0.904)
O (0.277, 0.481, 0.373)
O (0.296, 0.891, 0.019)
O (0.296, 0.904, 0.277)
O (0.373, 0.277, 0.481)
O (0.373, 0.596, 0.891)
O (0.391, 0.096, 0.873)
O (0.391, 0.796, 0.519)
O (0.404, 0.109, 0.627)
O (0.404, 0.796, 0.777)
O (0.481, 0.373, 0.277)
O (0.481, 0.609, 0.204)
O (0.519, 0.391, 0.796)
O (0.519, 0.627, 0.723)
O (0.596, 0.204, 0.223)
O (0.596, 0.891, 0.373)
O (0.609, 0.204, 0.481)
O (0.609, 0.904, 0.127)
O (0.627, 0.404, 0.109)
O (0.627, 0.723, 0.519)
O (0.704, 0.096, 0.723)
O (0.704, 0.109, 0.981)
O (0.723, 0.519, 0.627)
O (0.723, 0.704, 0.096)
O (0.777, 0.404, 0.796)
O (0.777, 0.873, 0.981)
O (0.796, 0.519, 0.391)
O (0.796, 0.777, 0.404)
O (0.873, 0.391, 0.096)
O (0.873, 0.981, 0.777)
O (0.891, 0.019, 0.296)
O (0.891, 0.373, 0.596)
O (0.904, 0.127, 0.609)
O (0.904, 0.277, 0.296)
O (0.981, 0.704, 0.109)
O (0.981, 0.777, 0.873)

***

The following is a DFT calculation (GGA+U) of SmMnO3 after structural relaxation.

Calculated values
V = 243.8 Å³/cell
calculated formation energy = -289 kJ per mole of atoms
final energy = -7.990 eV per atom
density = 6.9 Mg/m³

Lattice parameters (Å, degrees): 5.907 7.603 5.429 90.00 90.00 90.00
Positions (direct):
Sm (0.077, 0.250, 0.017)
Sm (0.423, 0.750, 0.517)
Sm (0.577, 0.250, 0.483)
Sm (0.923, 0.750, 0.983)
Mn (0.000, 0.000, 0.500)
Mn (0.000, 0.500, 0.500)
Mn (0.500, 0.000, 0.000)
Mn (0.500, 0.500, 0.000)
O (0.033, 0.750, 0.394)
O (0.180, 0.552, 0.792)
O (0.180, 0.948, 0.792)
O (0.320, 0.052, 0.292)
O (0.320, 0.448, 0.292)
O (0.467, 0.250, 0.894)
O (0.533, 0.750, 0.106)
O (0.680, 0.552, 0.708)
O (0.680, 0.948, 0.708)
O (0.820, 0.052, 0.208)
O (0.820, 0.448, 0.208)
O (0.967, 0.250, 0.606)